Entry 1:
# K2LiSbF6

A relaxed structure of K2LiSbF6 (PBE-GGA, the Materials Project).

a = 6.0804 Å, b = 6.0804 Å, c = 6.0804 Å
α = 60.00°, β = 60.00°, γ = 60.00°
With the nearest neighbours (Å) after each atom.
Atoms (fractional coordinates):
K1 0.7500 0.7500 0.7500  12 F 3.04
K2 0.2500 0.2500 0.2500  12 F 3.04
Li1 0.5000 0.5000 0.5000  6 F 2.10
Sb1 0.0000 0.0000 0.0000  6 F 2.20
F1 0.7440 0.2560 0.2560  1 Li 2.10, 1 Sb 2.20
F2 0.2560 0.2560 0.7440  1 Li 2.10, 1 Sb 2.20
F3 0.2560 0.7440 0.7440  1 Li 2.10, 1 Sb 2.20
F4 0.2560 0.7440 0.2560  1 Li 2.10, 1 Sb 2.20
F5 0.7440 0.2560 0.7440  1 Li 2.10, 1 Sb 2.20
F6 0.7440 0.7440 0.2560  1 Li 2.10, 1 Sb 2.20

Values from the calculation:
The formation energy is -2.899 eV/atom. Its corrected total energy (MP2020 scheme) is -4.87 eV per atom. As for the space-group type: No. 225.

Entry 2:
# K2LiScF6

A relaxed structure of K2LiScF6 (PBE-GGA, the Materials Project).

a = 5.8616 Å, b = 5.8616 Å, c = 5.8616 Å
α = 60.00°, β = 60.00°, γ = 60.00°
With the nearest neighbours (Å) after each atom.
Atoms (fractional coordinates):
K1 0.2500 0.2500 0.2500  12 F 2.93
K2 0.7500 0.7500 0.7500  12 F 2.93
Li1 0.5000 0.5000 0.5000  6 F 2.11
Sc1 0.0000 0.0000 0.0000  6 F 2.04
F1 0.2456 0.2456 0.7544  1 Sc 2.04, 1 Li 2.11
F2 0.2456 0.7544 0.7544  1 Sc 2.04, 1 Li 2.11
F3 0.7544 0.7544 0.2456  1 Sc 2.04, 1 Li 2.11
F4 0.2456 0.7544 0.2456  1 Sc 2.04, 1 Li 2.11
F5 0.7544 0.2456 0.7544  1 Sc 2.04, 1 Li 2.11
F6 0.7544 0.2456 0.2456  1 Sc 2.04, 1 Li 2.11

Values from the calculation:
The formation energy is -3.601 eV/atom. Its corrected total energy (MP2020 scheme) is -5.80 eV per atom. As for the space-group type: No. 225.

Entry 3:
# K2LiTaF6

A relaxed structure of K2LiTaF6 (PBE-GGA, the Materials Project).

a = 5.9181 Å, b = 5.9181 Å, c = 5.9181 Å
α = 122.82°, β = 116.36°, γ = 90.80°
With the nearest neighbours (Å) after each atom.
Atoms (fractional coordinates):
K1 0.2479 0.7479 0.5000  12 F 2.83-3.12
K2 0.7521 0.2521 0.5000  12 F 2.83-3.12
Li1 0.0000 0.0000 0.0000  6 F 2.09-2.12
Ta1 0.5000 0.5000 0.0000  6 F 2.07-2.10
F1 0.7647 0.7299 0.4946  1 Ta 2.10, 1 Li 2.12
F2 0.2353 0.7299 0.9652  1 Ta 2.10, 1 Li 2.12
F3 0.2353 0.2701 0.5054  1 Ta 2.10, 1 Li 2.12
F4 0.7490 0.7490 0.0000  1 Ta 2.07, 1 Li 2.09
F5 0.2510 0.2510 0.0000  1 Ta 2.07, 1 Li 2.09
F6 0.7647 0.2701 0.0348  1 Ta 2.10, 1 Li 2.12

Values from the calculation:
The formation energy is -2.987 eV/atom. Its corrected total energy (MP2020 scheme) is -5.73 eV per atom. As for the space-group type: No. 71.

Entry 4:
# K2LiTlF6

A relaxed structure of K2LiTlF6 (PBE-GGA, the Materials Project).

a = 6.0313 Å, b = 6.0313 Å, c = 6.0313 Å
α = 60.00°, β = 60.00°, γ = 60.00°
With the nearest neighbours (Å) after each atom.
Atoms (fractional coordinates):
K1 0.7500 0.7500 0.7500  12 F 3.02
K2 0.2500 0.2500 0.2500  12 F 3.02
Li1 0.5000 0.5000 0.5000  6 F 2.08
Tl1 0.0000 0.0000 0.0000  6 F 2.19
F1 0.7433 0.2567 0.2567  1 Li 2.08, 1 Tl 2.19
F2 0.2567 0.2567 0.7433  1 Li 2.08, 1 Tl 2.19
F3 0.2567 0.7433 0.7433  1 Li 2.08, 1 Tl 2.19
F4 0.2567 0.7433 0.2567  1 Li 2.08, 1 Tl 2.19
F5 0.7433 0.2567 0.7433  1 Li 2.08, 1 Tl 2.19
F6 0.7433 0.7433 0.2567  1 Li 2.08, 1 Tl 2.19

Values from the calculation:
The formation energy is -2.733 eV/atom. Its corrected total energy (MP2020 scheme) is -4.53 eV per atom. As for the space-group type: No. 225.

Entry 5:
# K2LiYF6

A relaxed structure of K2LiYF6 (PBE-GGA, the Materials Project).

a = 6.0510 Å, b = 6.0510 Å, c = 6.0510 Å
α = 60.00°, β = 60.00°, γ = 60.00°
With the nearest neighbours (Å) after each atom.
Atoms (fractional coordinates):
K1 0.7500 0.7500 0.7500  12 F 3.03
K2 0.2500 0.2500 0.2500  12 F 3.03
Li1 0.5000 0.5000 0.5000  6 F 2.10
Y1 0.0000 0.0000 0.0000  6 F 2.18
F1 0.7452 0.2548 0.2548  1 Li 2.10, 1 Y 2.18
F2 0.2548 0.2548 0.7452  1 Li 2.10, 1 Y 2.18
F3 0.2548 0.7452 0.7452  1 Li 2.10, 1 Y 2.18
F4 0.2548 0.7452 0.2548  1 Li 2.10, 1 Y 2.18
F5 0.7452 0.2548 0.7452  1 Li 2.10, 1 Y 2.18
F6 0.7452 0.7452 0.2548  1 Li 2.10, 1 Y 2.18

Values from the calculation:
The formation energy is -3.589 eV/atom. Its corrected total energy (MP2020 scheme) is -5.80 eV per atom. As for the space-group type: No. 225.

Entry 6:
# KNa3Mg4F12

A relaxed structure of KNa3Mg4F12 (PBE-GGA, the Materials Project).

a = 7.8951 Å, b = 5.5463 Å, c = 5.6111 Å
α = 89.79°, β = 90.00°, γ = 90.00°
With the nearest neighbours (Å) after each atom.
Atoms (fractional coordinates):
K1 0.5000 0.4956 0.5200  8 F 2.56-2.79
Na1 0.5000 0.0072 0.0348  4 F 2.40-2.46
Na2 0.0000 0.5015 0.4631  6 F 2.38-2.65
Na3 0.0000 0.0010 0.9717  4 F 2.37-2.50
Mg1 0.2448 0.0001 0.5016  6 F 1.99-2.04
Mg2 0.7544 0.4994 0.9977  6 F 1.98-2.05
Mg3 0.7552 0.0001 0.5016  6 F 1.99-2.04
Mg4 0.2456 0.4994 0.9977  6 F 1.98-2.05
F1 0.2883 0.2034 0.7955  2 Mg 2.03
F2 0.7314 0.2814 0.2804  2 Mg 2.00
F3 0.7921 0.7866 0.2132  2 Mg 2.03
F4 0.2096 0.7074 0.7087  2 Mg 2.01
F5 0.2079 0.7866 0.2132  2 Mg 2.03
F6 0.7904 0.7074 0.7087  2 Mg 2.01
F7 0.7117 0.2034 0.7955  2 Mg 2.03
F8 0.2686 0.2814 0.2804  2 Mg 2.00
F9 0.5000 0.5756 0.0004  2 Mg 2.05
F10 0.5000 0.9588 0.4711  2 Mg 2.04
F11 0.0000 0.4261 0.0117  2 Mg 1.98
F12 0.0000 0.0777 0.5330  2 Mg 1.99

Values from the calculation:
The formation energy is -3.495 eV/atom. Its corrected total energy (MP2020 scheme) is -5.22 eV per atom. As for the space-group type: No. 6.

Entry 7:
# K2NaNbF6

A relaxed structure of K2NaNbF6 (PBE-GGA, the Materials Project).

a = 6.1658 Å, b = 6.1658 Å, c = 6.1658 Å
α = 60.00°, β = 60.00°, γ = 60.00°
With the nearest neighbours (Å) after each atom.
Atoms (fractional coordinates):
K1 0.7500 0.7500 0.7500  12 F 3.08
K2 0.2500 0.2500 0.2500  12 F 3.08
Na1 0.5000 0.5000 0.5000  6 F 2.26
Nb1 0.0000 0.0000 0.0000  6 F 2.10
F1 0.7587 0.2413 0.2413  1 Nb 2.10, 1 Na 2.26
F2 0.2413 0.2413 0.7587  1 Nb 2.10, 1 Na 2.26
F3 0.2413 0.7587 0.7587  1 Nb 2.10, 1 Na 2.26
F4 0.2413 0.7587 0.2413  1 Nb 2.10, 1 Na 2.26
F5 0.7587 0.2413 0.7587  1 Nb 2.10, 1 Na 2.26
F6 0.7587 0.7587 0.2413  1 Nb 2.10, 1 Na 2.26

Values from the calculation:
The formation energy is -2.999 eV/atom. Its corrected total energy (MP2020 scheme) is -5.51 eV per atom. As for the space-group type: No. 225.

Entry 8:
# KNa2NbF6

A relaxed structure of KNa2NbF6 (PBE-GGA, the Materials Project).

a = 6.4752 Å, b = 6.4752 Å, c = 6.4752 Å
α = 60.00°, β = 60.00°, γ = 60.00°
With the nearest neighbours (Å) after each atom.
Atoms (fractional coordinates):
K1 0.5000 0.5000 0.5000  6 F 2.50
Na1 0.7500 0.7500 0.7500  12 F 3.24
Na2 0.2500 0.2500 0.2500  12 F 3.24
Nb1 0.0000 0.0000 0.0000  6 F 2.08
F1 0.7729 0.2271 0.2271  1 Nb 2.08
F2 0.2271 0.2271 0.7729  1 Nb 2.08
F3 0.2271 0.7729 0.7729  1 Nb 2.08
F4 0.2271 0.7729 0.2271  1 Nb 2.08
F5 0.7729 0.2271 0.7729  1 Nb 2.08
F6 0.7729 0.7729 0.2271  1 Nb 2.08

Values from the calculation:
The formation energy is -2.774 eV/atom. Its corrected total energy (MP2020 scheme) is -5.31 eV per atom. As for the space-group type: No. 225.

Entry 9:
# K2NaNdF6

A relaxed structure of K2NaNdF6 (PBE-GGA, the Materials Project).

a = 6.4368 Å, b = 6.4368 Å, c = 6.4368 Å
α = 60.00°, β = 60.00°, γ = 60.00°
With the nearest neighbours (Å) after each atom.
Atoms (fractional coordinates):
K1 0.7500 0.7500 0.7500  12 F 3.22
K2 0.2500 0.2500 0.2500  12 F 3.22
Na1 0.5000 0.5000 0.5000  6 F 2.28
Nd1 0.0000 0.0000 0.0000  6 F 2.27
F1 0.7506 0.2494 0.2494  1 Nd 2.27, 1 Na 2.28
F2 0.2494 0.2494 0.7506  1 Nd 2.27, 1 Na 2.28
F3 0.2494 0.7506 0.7506  1 Nd 2.27, 1 Na 2.28
F4 0.2494 0.7506 0.2494  1 Nd 2.27, 1 Na 2.28
F5 0.7506 0.2494 0.7506  1 Nd 2.27, 1 Na 2.28
F6 0.7506 0.7506 0.2494  1 Nd 2.27, 1 Na 2.28

Values from the calculation:
The formation energy is -3.490 eV/atom. Its corrected total energy (MP2020 scheme) is -5.47 eV per atom. As for the space-group type: No. 225.

Entry 10:
# K2Na2NdF7

A relaxed structure of K2Na2NdF7 (PBE-GGA, the Materials Project).

a = 11.1744 Å, b = 11.1744 Å, c = 11.1744 Å
α = 109.47°, β = 109.47°, γ = 109.47°
With the nearest neighbours (Å) after each atom.
Atoms (fractional coordinates):
K1 0.6931 0.6931 0.3862  8 F 2.59-2.84
K2 0.3069 0.3069 0.6138  8 F 2.59-2.84
K3 0.3069 0.6931 0.0000  8 F 2.59-2.84
K4 0.6931 0.3069 0.0000  8 F 2.59-2.84
K5 0.6931 0.3862 0.6931  8 F 2.59-2.84
K6 0.6931 0.0000 0.3069  8 F 2.59-2.84
K7 0.3069 0.6138 0.3069  8 F 2.59-2.84
K8 0.3069 0.0000 0.6931  8 F 2.59-2.84
K9 0.3862 0.6931 0.6931  8 F 2.59-2.84
K10 0.6138 0.3069 0.3069  8 F 2.59-2.84
K11 0.0000 0.6931 0.3069  8 F 2.59-2.84
K12 0.0000 0.3069 0.6931  8 F 2.59-2.84
Na1 0.7607 0.7607 0.7607  6 F 2.30-2.36
Na2 0.2393 0.2393 0.2393  6 F 2.30-2.36
Na3 0.2393 0.0000 0.0000  6 F 2.30-2.36
Na4 0.0000 0.2393 0.0000  6 F 2.30-2.36
Na5 0.7607 0.0000 0.0000  6 F 2.30-2.36
Na6 0.0000 0.7607 0.0000  6 F 2.30-2.36
Na7 0.0000 0.0000 0.2393  6 F 2.30-2.36
Na8 0.0000 0.0000 0.7607  6 F 2.30-2.36
Na9 0.5000 0.5000 0.5000  6 F 2.36
Na10 0.5000 0.0000 0.0000  6 F 2.36
Na11 0.0000 0.5000 0.0000  6 F 2.36
Na12 0.0000 0.0000 0.5000  6 F 2.36
Nd1 0.6347 0.6347 0.0000  9 F 2.44-2.48
Nd2 0.3653 0.3653 0.0000  9 F 2.44-2.48
Nd3 0.6347 0.0000 0.6347  9 F 2.44-2.48
Nd4 0.3653 0.0000 0.3653  9 F 2.44-2.48
Nd5 0.0000 0.6347 0.6347  9 F 2.44-2.48
Nd6 0.0000 0.3653 0.3653  9 F 2.44-2.48
F1 0.7475 0.5715 0.5715  2 Na 2.36, 1 Nd 2.44
F2 0.2525 0.4285 0.4285  2 Na 2.36, 1 Nd 2.44
F3 0.2525 0.8240 0.8240  2 Na 2.36, 1 Nd 2.44
F4 0.0000 0.4285 0.1760  2 Na 2.36, 1 Nd 2.44
F5 0.5715 0.5715 0.7475  2 Na 2.36, 1 Nd 2.44
F6 0.7475 0.1760 0.1760  2 Na 2.36, 1 Nd 2.44
F7 0.0000 0.5715 0.8240  2 Na 2.36, 1 Nd 2.44
F8 0.4285 0.4285 0.2525  2 Na 2.36, 1 Nd 2.44
F9 0.0000 0.1760 0.4285  2 Na 2.36, 1 Nd 2.44
F10 0.8240 0.8240 0.2525  2 Na 2.36, 1 Nd 2.44
F11 0.0000 0.8240 0.5715  2 Na 2.36, 1 Nd 2.44
F12 0.1760 0.1760 0.7475  2 Na 2.36, 1 Nd 2.44
F13 0.4285 0.1760 0.0000  2 Na 2.36, 1 Nd 2.44
F14 0.5715 0.8240 0.0000  2 Na 2.36, 1 Nd 2.44
F15 0.1760 0.4285 0.0000  2 Na 2.36, 1 Nd 2.44
F16 0.8240 0.5715 0.0000  2 Na 2.36, 1 Nd 2.44
F17 0.5715 0.7475 0.5715  2 Na 2.36, 1 Nd 2.44
F18 0.5715 0.0000 0.8240  2 Na 2.36, 1 Nd 2.44
F19 0.4285 0.2525 0.4285  2 Na 2.36, 1 Nd 2.44
F20 0.4285 0.0000 0.1760  2 Na 2.36, 1 Nd 2.44
F21 0.1760 0.0000 0.4285  2 Na 2.36, 1 Nd 2.44
F22 0.8240 0.0000 0.5715  2 Na 2.36, 1 Nd 2.44
F23 0.1760 0.7475 0.1760  2 Na 2.36, 1 Nd 2.44
F24 0.8240 0.2525 0.8240  2 Na 2.36, 1 Nd 2.44
F25 0.8627 0.3627 0.5000  2 Nd 2.48, 2 F 2.51, 2 K 2.59
F26 0.1373 0.6373 0.5000  2 Nd 2.48, 2 F 2.51, 2 K 2.59
F27 0.3627 0.5000 0.8627  2 Nd 2.48, 2 F 2.51, 2 K 2.59
F28 0.8627 0.5000 0.3627  2 Nd 2.48, 2 F 2.51, 2 K 2.59
F29 0.6373 0.5000 0.1373  2 Nd 2.48, 2 F 2.51, 2 K 2.59
F30 0.1373 0.5000 0.6373  2 Nd 2.48, 2 F 2.51, 2 K 2.59
F31 0.5000 0.8627 0.3627  2 Nd 2.48, 2 F 2.51, 2 K 2.59
F32 0.3627 0.8627 0.5000  2 Nd 2.48, 2 F 2.51, 2 K 2.59
F33 0.5000 0.1373 0.6373  2 Nd 2.48, 2 F 2.51, 2 K 2.59
F34 0.6373 0.1373 0.5000  2 Nd 2.48, 2 F 2.51, 2 K 2.59
F35 0.5000 0.3627 0.8627  2 Nd 2.48, 2 F 2.51, 2 K 2.59
F36 0.5000 0.6373 0.1373  2 Nd 2.48, 2 F 2.51, 2 K 2.59
F37 0.8238 0.8238 0.0000  4 Na 2.30, 1 Nd 2.44
F38 0.1762 0.1762 0.0000  4 Na 2.30, 1 Nd 2.44
F39 0.8238 0.0000 0.8238  4 Na 2.30, 1 Nd 2.44
F40 0.1762 0.0000 0.1762  4 Na 2.30, 1 Nd 2.44
F41 0.0000 0.8238 0.8238  4 Na 2.30, 1 Nd 2.44
F42 0.0000 0.1762 0.1762  4 Na 2.30, 1 Nd 2.44

Values from the calculation:
The formation energy is -3.441 eV/atom. Its corrected total energy (MP2020 scheme) is -5.36 eV per atom. As for the space-group type: No. 229.